one | Compound: Ba2MgNb6N2O14
Source: Materials Project
Functional: GGA-PBE
Structure: relaxed

space-group type: No. 8
total moment: 0.0 μB per cell
V: 378.6 Å³/cell

Unit cell a=10.5930 b=10.5930 c=9.0607 alpha=90.77 beta=90.77 gamma=21.87
Closest atoms and distances in Å follow each position.
Fractional coordinates of all 25 atoms:
Ba: 0.0000 0.0000 0.0000  6 O 2.67-2.80
Ba: 0.0343 0.0343 0.5124  6 O 2.76-2.82
Mg: 0.2415 0.2415 0.3286  4 O 2.02-2.05, 1 N 2.08
Nb: 0.2574 0.2574 0.9966  1 O 1.87, 1 N 1.93
Nb: 0.3877 0.3877 0.3044  1 O 1.82, 1 N 1.97
Nb: 0.3886 0.3886 0.6962  5 O 1.85-2.03
Nb: 0.6491 0.6491 0.1909  4 O 1.85-2.04
Nb: 0.6536 0.6536 0.8243  4 O 1.87-2.08
Nb: 0.7945 0.7945 0.5420  3 O 1.83-2.05
N: 0.3124 0.3124 0.1698  2 Nb 1.93-1.97, 1 Mg 2.08
N: 0.7257 0.7257 0.0093  4 Nb 2.12-2.31
O: 0.1631 0.1631 0.8501  2 Nb 2.03
O: 0.1662 0.1662 0.1847  1 Mg 2.02, 2 Nb 2.04
O: 0.3050 0.3050 0.5037  2 Nb 2.05, 1 Mg 2.05
O: 0.3141 0.3141 0.8383  2 Nb 1.87-2.03
O: 0.4393 0.4393 0.5099  2 Nb 2.00-2.14
O: 0.4554 0.4554 0.1794  1 Nb 1.82
O: 0.4556 0.4556 0.8326  1 Nb 1.85
O: 0.5849 0.5849 0.3300  1 Nb 1.85
O: 0.5868 0.5868 0.6843  1 Nb 1.87
O: 0.5938 0.5938 0.0119  2 Nb 1.98-2.12
O: 0.7274 0.7274 0.3604  2 Mg 2.05, 2 Nb 2.14-2.22
O: 0.7293 0.7293 0.6765  1 Nb 1.83
O: 0.8740 0.8740 0.3585  2 Nb 2.09
O: 0.8818 0.8818 0.6833  3 Nb 2.02-2.21

***

two | Compound: Ba2MgNb6N2O14
Source: Materials Project
Functional: GGA-PBE
Structure: relaxed

space-group type: No. 1
total moment: 0.0 μB per cell
V: 394.5 Å³/cell

Unit cell a=3.9686 b=9.2737 c=10.8980 alpha=89.15 beta=79.61 gamma=89.99
Closest atoms and distances in Å follow each position.
Fractional coordinates of all 25 atoms:
Ba: 0.0000 0.0000 0.0000  6 O 2.68-3.00
Ba: 0.1385 0.4694 0.7280  6 O 2.72-2.83
Mg: 0.2007 0.9996 0.6061  4 O 1.99-2.05
Nb: 0.3553 0.9902 0.2934  2 O 1.83-1.96
Nb: 0.4731 0.3182 0.0556  4 O 1.87-2.01
Nb: 0.4928 0.6700 0.0164  4 O 1.88-2.02
Nb: 0.7551 0.7862 0.4958  2 O 1.82-1.94
Nb: 0.7663 0.2158 0.4730  1 N 1.85, 1 O 1.86
Nb: 0.8854 0.5158 0.2323  3 N 1.92-2.08, 1 O 1.93
N: 0.4149 0.5194 0.1729  4 Nb 2.08-2.26
N: 0.8241 0.3643 0.3562  2 Nb 1.85-1.92
O: 0.2666 0.8439 0.4725  1 Mg 2.05, 2 Nb 2.07
O: 0.2682 0.1503 0.4691  1 Mg 2.01, 2 Nb 2.08
O: 0.4135 0.1536 0.1758  2 Nb 1.96-1.98
O: 0.4163 0.8559 0.1702  1 Nb 1.83
O: 0.5404 0.1976 0.9179  1 Nb 1.87
O: 0.5433 0.8355 0.9123  1 Nb 1.88
O: 0.5469 0.5082 0.9083  1 Nb 1.91
O: 0.6904 0.3096 0.6246  1 Nb 1.86
O: 0.6950 0.6465 0.6162  1 Nb 1.82
O: 0.7010 0.9793 0.6055  2 Mg 1.99, 1 Nb 2.16
O: 0.8312 0.6784 0.3419  2 Nb 1.93-1.94
O: 0.8324 0.0146 0.3395  2 Nb 2.06
O: 0.9639 0.3482 0.0740  2 Nb 2.01
O: 0.9766 0.6799 0.0485  2 Nb 2.02

***

List of relative energies, unit eV/atom: one 0.000; two 0.030